The following is a DFT calculation (PBE-GGA) of U4Ga12Pd after structural relaxation.

abc: 7.4838 7.4838 7.4838
angles: 109.47 109.47 109.47
Closest atoms and distances in Å follow each position.
Atoms (fractional coordinates):
Ga  0.5000  0.2500  0.7500  8 Ga 2.80-3.06, 4 U 3.06
Ga  0.5000  0.7500  0.2500  8 Ga 2.80-3.06, 4 U 3.06
Ga  0.2500  0.7500  0.5000  8 Ga 2.80-3.06, 4 U 3.06
Ga  0.2500  0.5000  0.7500  8 Ga 2.80-3.06, 4 U 3.06
Ga  0.2940  0.2940  0.0000  1 Pd 2.54, 4 Ga 2.80
Ga  0.7060  0.7060  0.0000  1 Pd 2.54, 4 Ga 2.80
Ga  0.2940  0.0000  0.2940  1 Pd 2.54, 4 Ga 2.80
Ga  0.7500  0.5000  0.2500  8 Ga 2.80-3.06, 4 U 3.06
Ga  0.0000  0.2940  0.2940  1 Pd 2.54, 4 Ga 2.80
Ga  0.7500  0.2500  0.5000  8 Ga 2.80-3.06, 4 U 3.06
Ga  0.7060  0.0000  0.7060  1 Pd 2.54, 4 Ga 2.80
Ga  0.0000  0.7060  0.7060  1 Pd 2.54, 4 Ga 2.80
U  0.5000  0.5000  0.5000  12 Ga 3.06-3.08
U  0.0000  0.0000  0.5000  12 Ga 3.06-3.08
U  0.5000  0.0000  0.0000  12 Ga 3.06-3.08
U  0.0000  0.5000  0.0000  12 Ga 3.06-3.08
Pd  0.0000  0.0000  0.0000  6 Ga 2.54

Calculated values
Energy of formation: -0.30 eV/atom
Calculated total energy: -5.4021 eV/atom